1.
Compound: Mn3CuO8
Source: the Materials Project
Functional: PBE+U
Structure: optimized geometry

Values from the calculation:
Spin magnetization (Bohr magnetons per cell): 8.00
ΔE to the lowest computed polymorph (meV per atom): 0
Symmetry: R-3m, No. 166

```
data_Mn3CuO8
_symmetry_space_group_name_H-M 'P 1'
_symmetry_Int_Tables_number 1
_symmetry_space_group_name_Hall 'P 1'
_cell_length_a 5.839
_cell_length_b 5.839
_cell_length_c 5.839
_cell_angle_alpha 60.25
_cell_angle_beta 60.25
_cell_angle_gamma 60.25
loop_
_atom_site_label
_atom_site_type_symbol
_atom_site_fract_x
_atom_site_fract_y
_atom_site_fract_z
Mn1 Mn 0.500 0.500 0.000
Mn2 Mn 0.000 0.500 0.500
Mn3 Mn 0.500 0.000 0.500
Cu1 Cu 0.000 0.000 0.000
O1 O 0.266 0.266 0.266
O2 O 0.764 0.764 0.270
O3 O 0.270 0.764 0.764
O4 O 0.734 0.734 0.734
O5 O 0.764 0.270 0.764
O6 O 0.236 0.236 0.730
O7 O 0.730 0.236 0.236
O8 O 0.236 0.730 0.236
```

2.
Compound: TiMnO3
Source: the Materials Project
Functional: PBE+U
Structure: optimized geometry

Values from the calculation:
Spin magnetization (Bohr magnetons per cell): 6.73
DFT total energy (eV per atom): -7.726
Symmetry: P-1, No. 2

```
data_TiMnO3
_symmetry_space_group_name_H-M 'P 1'
_symmetry_Int_Tables_number 1
_symmetry_space_group_name_Hall 'P 1'
_cell_length_a 10.209
_cell_length_b 3.102
_cell_length_c 6.350
_cell_angle_alpha 115.92
_cell_angle_beta 146.40
_cell_angle_gamma 63.90
loop_
_atom_site_label
_atom_site_type_symbol
_atom_site_fract_x
_atom_site_fract_y
_atom_site_fract_z
Ti1 Ti 0.234 0.315 0.648
Ti2 Ti 0.766 0.685 0.352
Mn1 Mn 0.633 0.678 0.696
Mn2 Mn 0.367 0.322 0.304
O1 O 0.223 0.618 0.407
O2 O 0.412 0.907 0.037
O3 O 0.890 0.404 0.178
O4 O 0.777 0.382 0.593
O5 O 0.588 0.093 0.963
O6 O 0.110 0.596 0.822
```

3.
Compound: BaPrMgMn2O6
Source: the Materials Project
Functional: PBE+U
Structure: optimized geometry

Values from the calculation:
Spin magnetization (Bohr magnetons per cell): 9.00
ΔE to the lowest computed polymorph (meV per atom): 436
Symmetry: Pmmm, No. 47

```
data_BaPrMgMn2O6
_symmetry_space_group_name_H-M 'P 1'
_symmetry_Int_Tables_number 1
_symmetry_space_group_name_Hall 'P 1'
_cell_length_a 5.454
_cell_length_b 3.843
_cell_length_c 8.008
_cell_angle_alpha 90.00
_cell_angle_beta 90.00
_cell_angle_gamma 90.00
loop_
_atom_site_label
_atom_site_type_symbol
_atom_site_fract_x
_atom_site_fract_y
_atom_site_fract_z
Ba1 Ba 0.000 0.000 0.500
Pr1 Pr 0.000 0.000 0.000
Mg1 Mg 0.500 0.000 0.500
Mn1 Mn 0.500 0.500 0.769
Mn2 Mn 0.500 0.500 0.231
O1 O 0.500 0.500 0.000
O2 O 0.000 0.500 0.788
O3 O 0.500 0.000 0.736
O4 O 0.000 0.500 0.212
O5 O 0.500 0.500 0.500
O6 O 0.500 0.000 0.264
```

4.
Compound: Na3V4Bi20O42
Source: the Materials Project
Functional: PBE+U
Structure: optimized geometry

Values from the calculation:
Spin magnetization (Bohr magnetons per cell): 0.91
DFT total energy (eV per atom): -6.040
Symmetry: C2/m, No. 12

```
data_Na3V4Bi20O42
_symmetry_space_group_name_H-M 'P 1'
_symmetry_Int_Tables_number 1
_symmetry_space_group_name_Hall 'P 1'
_cell_length_a 11.842
_cell_length_b 11.842
_cell_length_c 12.446
_cell_angle_alpha 58.42
_cell_angle_beta 58.42
_cell_angle_gamma 58.61
loop_
_atom_site_label
_atom_site_type_symbol
_atom_site_fract_x
_atom_site_fract_y
_atom_site_fract_z
Na1 Na 0.674 0.326 0.500
Na2 Na 0.326 0.674 0.500
Na3 Na 0.000 0.000 0.500
V1 V 0.341 0.341 0.150
V2 V 0.659 0.659 0.850
V3 V 0.996 0.996 0.189
V4 V 0.004 0.004 0.811
Bi1 Bi 0.648 0.648 0.514
Bi2 Bi 0.352 0.352 0.486
Bi3 Bi 0.666 0.666 0.196
Bi4 Bi 0.334 0.334 0.804
Bi5 Bi 0.662 0.003 0.520
Bi6 Bi 0.338 0.997 0.480
Bi7 Bi 0.997 0.338 0.480
Bi8 Bi 0.003 0.662 0.520
Bi9 Bi 0.346 0.668 0.178
Bi10 Bi 0.654 0.332 0.822
Bi11 Bi 0.332 0.654 0.822
Bi12 Bi 0.668 0.346 0.178
Bi13 Bi 0.675 0.000 0.170
Bi14 Bi 0.325 0.000 0.830
Bi15 Bi 0.000 0.325 0.830
Bi16 Bi 0.000 0.675 0.170
Bi17 Bi 0.335 0.993 0.179
Bi18 Bi 0.665 0.007 0.821
Bi19 Bi 0.007 0.665 0.821
Bi20 Bi 0.993 0.335 0.179
O1 O 0.903 0.903 0.211
O2 O 0.097 0.097 0.789
O3 O 0.474 0.474 0.288
O4 O 0.526 0.526 0.712
O5 O 0.565 0.925 0.385
O6 O 0.435 0.075 0.615
O7 O 0.075 0.435 0.615
O8 O 0.925 0.565 0.385
O9 O 0.972 0.972 0.346
O10 O 0.028 0.028 0.654
O11 O 0.600 0.600 0.027
O12 O 0.400 0.400 0.973
O13 O 0.176 0.926 0.102
O14 O 0.824 0.074 0.898
O15 O 0.074 0.824 0.898
O16 O 0.926 0.176 0.102
O17 O 0.489 0.241 0.199
O18 O 0.511 0.759 0.801
O19 O 0.759 0.511 0.801
O20 O 0.241 0.489 0.199
O21 O 0.718 0.069 0.610
O22 O 0.282 0.931 0.390
O23 O 0.931 0.282 0.390
O24 O 0.069 0.718 0.610
O25 O 0.549 0.971 0.111
O26 O 0.451 0.029 0.889
O27 O 0.029 0.451 0.889
O28 O 0.971 0.549 0.111
O29 O 0.239 0.239 0.218
O30 O 0.761 0.761 0.782
O31 O 0.422 0.767 0.220
O32 O 0.578 0.233 0.780
O33 O 0.233 0.578 0.780
O34 O 0.767 0.422 0.220
O35 O 0.779 0.779 0.190
O36 O 0.221 0.221 0.810
O37 O 0.613 0.213 0.390
O38 O 0.387 0.787 0.610
O39 O 0.787 0.387 0.610
O40 O 0.213 0.613 0.390
O41 O 0.597 0.597 0.409
O42 O 0.403 0.403 0.591
```

5.
Compound: MgMn5CrP6O24
Source: the Materials Project
Functional: PBE+U
Structure: optimized geometry

Values from the calculation:
Spin magnetization (Bohr magnetons per cell): 21.02
ΔE to the lowest computed polymorph (meV per atom): 68
Symmetry: P1, No. 1

```
data_MgMn5CrP6O24
_symmetry_space_group_name_H-M 'P 1'
_symmetry_Int_Tables_number 1
_symmetry_space_group_name_Hall 'P 1'
_cell_length_a 9.071
_cell_length_b 8.744
_cell_length_c 8.669
_cell_angle_alpha 60.15
_cell_angle_beta 59.46
_cell_angle_gamma 58.90
loop_
_atom_site_label
_atom_site_type_symbol
_atom_site_fract_x
_atom_site_fract_y
_atom_site_fract_z
Mg1 Mg 0.136 0.627 0.608
Mn1 Mn 0.995 0.992 0.005
Mn2 Mn 0.767 0.750 0.767
Mn3 Mn 0.527 0.498 0.494
Mn4 Mn 0.397 0.859 0.860
Mn5 Mn 0.965 0.347 0.349
Cr1 Cr 0.574 0.139 0.142
P1 P 0.268 0.243 0.538
P2 P 0.280 0.954 0.238
P3 P 0.258 0.530 0.960
P4 P 0.750 0.445 0.051
P5 P 0.774 0.054 0.734
P6 P 0.767 0.746 0.447
O1 O 0.102 0.098 0.328
O2 O 0.086 0.476 0.096
O3 O 0.088 0.323 0.506
O4 O 0.231 0.082 0.740
O5 O 0.435 0.150 0.396
O6 O 0.306 0.387 0.553
O7 O 0.239 0.951 0.082
O8 O 0.311 0.756 0.388
O9 O 0.589 0.628 0.983
O10 O 0.299 0.545 0.757
O11 O 0.761 0.259 0.062
O12 O 0.610 0.004 0.776
O13 O 0.450 0.003 0.152
O14 O 0.211 0.730 0.961
O15 O 0.733 0.440 0.236
O16 O 0.428 0.391 0.019
O17 O 0.768 0.239 0.570
O18 O 0.775 0.067 0.903
O19 O 0.766 0.578 0.429
O20 O 0.594 0.795 0.621
O21 O 0.771 0.908 0.256
O22 O 0.929 0.704 0.497
O23 O 0.917 0.498 0.877
O24 O 0.938 0.871 0.691
```

6.
Compound: Al19CrO30
Source: the Materials Project
Functional: PBE+U
Structure: optimized geometry

Values from the calculation:
Spin magnetization (Bohr magnetons per cell): 3.00
DFT total energy (eV per atom): -7.502
Symmetry: P1, No. 1

```
data_Al19CrO30
_symmetry_space_group_name_H-M 'P 1'
_symmetry_Int_Tables_number 1
_symmetry_space_group_name_Hall 'P 1'
_cell_length_a 4.820
_cell_length_b 5.191
_cell_length_c 19.975
_cell_angle_alpha 94.38
_cell_angle_beta 89.99
_cell_angle_gamma 117.65
loop_
_atom_site_label
_atom_site_type_symbol
_atom_site_fract_x
_atom_site_fract_y
_atom_site_fract_z
Al1 Al 0.494 0.987 0.071
Al2 Al 0.607 0.213 0.230
Al3 Al 0.593 0.186 0.371
Al4 Al 0.193 0.384 0.172
Al5 Al 0.707 0.414 0.530
Al6 Al 0.693 0.386 0.670
Al7 Al 0.007 0.014 0.430
Al8 Al 0.893 0.786 0.271
Al9 Al 0.908 0.815 0.131
Al10 Al 0.993 0.986 0.570
Al11 Al 0.092 0.185 0.869
Al12 Al 0.107 0.214 0.729
Al13 Al 0.807 0.613 0.829
Al14 Al 0.307 0.614 0.330
Al15 Al 0.407 0.814 0.629
Al16 Al 0.506 0.014 0.928
Al17 Al 0.293 0.586 0.471
Al18 Al 0.393 0.785 0.770
Al19 Al 0.791 0.585 0.969
Cr1 Cr 0.209 0.419 0.030
O1 O 0.456 0.300 0.450
O2 O 0.168 0.641 0.114
O3 O 0.633 0.961 0.289
O4 O 0.235 0.153 0.093
O5 O 0.573 0.839 0.411
O6 O 0.745 0.100 0.151
O7 O 0.944 0.499 0.750
O8 O 0.668 0.709 0.050
O9 O 0.856 0.100 0.650
O10 O 0.223 0.768 0.988
O11 O 0.628 0.561 0.189
O12 O 0.028 0.361 0.389
O13 O 0.828 0.961 0.788
O14 O 0.567 0.439 0.311
O15 O 0.966 0.239 0.511
O16 O 0.034 0.761 0.489
O17 O 0.753 0.234 0.010
O18 O 0.434 0.561 0.688
O19 O 0.972 0.639 0.611
O20 O 0.172 0.039 0.213
O21 O 0.373 0.438 0.810
O22 O 0.350 0.299 0.946
O23 O 0.144 0.900 0.350
O24 O 0.255 0.898 0.849
O25 O 0.056 0.499 0.251
O26 O 0.427 0.161 0.589
O27 O 0.366 0.038 0.711
O28 O 0.766 0.839 0.911
O29 O 0.837 0.362 0.888
O30 O 0.544 0.700 0.550
```